# 1
A geometry-optimized YPtF7 structure. Source: the Materials Project database, functional meta-GGA r2SCAN.

As for the space group: No. 14. For the formation energy, the calculation gives -271 kJ/mol of atoms. The calculation puts the raw total energy at -13.2144 eV/atom. As for the crystal system: monoclinic. The density comes out at 5.53 g/cm³.

Cell: 5.420 8.782 11.880 Å, 62.30 90.00 90.00°
Positions (direct):
Y: 0.262 0.813 0.264
Y: 0.738 0.187 0.736
Y: 0.762 0.187 0.236
Y: 0.238 0.813 0.764
Pt: 0.758 0.728 0.043
Pt: 0.242 0.272 0.957
Pt: 0.258 0.272 0.457
Pt: 0.742 0.728 0.543
F: 0.932 0.705 0.413
F: 0.068 0.295 0.587
F: 0.432 0.295 0.087
F: 0.568 0.705 0.913
F: 0.458 0.722 0.134
F: 0.542 0.278 0.866
F: 0.958 0.278 0.366
F: 0.042 0.722 0.634
F: 0.942 0.744 0.177
F: 0.058 0.256 0.823
F: 0.442 0.256 0.323
F: 0.558 0.744 0.677
F: 0.776 0.479 0.140
F: 0.224 0.521 0.860
F: 0.276 0.521 0.360
F: 0.724 0.479 0.640
F: 0.933 0.274 0.041
F: 0.067 0.726 0.959
F: 0.433 0.726 0.459
F: 0.567 0.274 0.541
F: 0.747 0.978 0.450
F: 0.253 0.022 0.550
F: 0.247 0.022 0.050
F: 0.753 0.978 0.950
F: 0.597 0.965 0.232
F: 0.403 0.035 0.768
F: 0.097 0.035 0.268
F: 0.903 0.965 0.732


# 2
A geometry-optimized RbF structure. Source: the Materials Project database, functional meta-GGA r2SCAN.

As for the space group: No. 221. For the formation energy, the calculation gives -270 kJ/mol of atoms. The calculation puts the raw total energy at -11.3317 eV/atom. As for the crystal system: cubic. The density comes out at 4.53 g/cm³.

Cell: 3.370 3.370 3.370 Å, 90.00 90.00 90.00°
Positions (direct):
Rb: 0.000 0.000 0.000
F: 0.500 0.500 0.500


# 3
A geometry-optimized RbF structure. Source: the Materials Project database, functional meta-GGA r2SCAN.

As for the space group: No. 225. For the formation energy, the calculation gives -275 kJ/mol of atoms. The calculation puts the raw total energy at -11.3833 eV/atom. As for the crystal system: cubic. The density comes out at 3.88 g/cm³.

Cell: 3.983 3.983 3.983 Å, 60.00 60.00 60.00°
Positions (direct):
Rb: 0.000 0.000 0.000
F: 0.500 0.500 0.500


# 4
A geometry-optimized RbF2 structure. Source: the Materials Project database, functional meta-GGA r2SCAN.

As for the space group: No. 136. For the formation energy, the calculation gives -188 kJ/mol of atoms. The calculation puts the raw total energy at -8.6768 eV/atom. As for the crystal system: tetragonal. The density comes out at 2.94 g/cm³.

Cell: 5.137 5.137 5.289 Å, 90.00 90.00 90.00°
Positions (direct):
Rb: 0.000 0.000 0.000
Rb: 0.500 0.500 0.500
F: 0.367 0.367 0.000
F: 0.633 0.633 0.000
F: 0.867 0.133 0.500
F: 0.133 0.867 0.500


# 5
A geometry-optimized Rb2RhF6 structure. Source: the Materials Project database, functional meta-GGA r2SCAN.

As for the space group: No. 164. For the formation energy, the calculation gives -235 kJ/mol of atoms. The calculation puts the raw total energy at -10.2954 eV/atom. As for the crystal system: trigonal. The density comes out at 4.47 g/cm³.

Cell: 5.907 5.907 4.767 Å, 90.00 90.00 120.00°
Positions (direct):
Rb: 0.333 0.667 0.708
Rb: 0.667 0.333 0.292
Rh: 0.000 0.000 0.000
F: 0.843 0.157 0.776
F: 0.843 0.686 0.776
F: 0.314 0.157 0.776
F: 0.157 0.843 0.224
F: 0.157 0.314 0.224
F: 0.686 0.843 0.224


# 6
A geometry-optimized RbSb2F7 structure. Source: the Materials Project database, functional meta-GGA r2SCAN.

As for the space group: No. 14. For the formation energy, the calculation gives -256 kJ/mol of atoms. The calculation puts the raw total energy at -11.3750 eV/atom. As for the crystal system: monoclinic. The density comes out at 4.42 g/cm³.

Cell: 6.571 8.691 12.432 Å, 77.84 90.00 90.00°
Positions (direct):
Rb: 0.234 0.074 0.112
Rb: 0.266 0.574 0.112
Rb: 0.734 0.426 0.888
Rb: 0.766 0.926 0.888
Sb: 0.761 0.285 0.222
Sb: 0.261 0.215 0.778
Sb: 0.239 0.715 0.778
Sb: 0.739 0.785 0.222
Sb: 0.710 0.844 0.580
Sb: 0.790 0.344 0.580
Sb: 0.290 0.156 0.420
Sb: 0.210 0.656 0.420
F: 0.430 0.840 0.498
F: 0.382 0.370 0.355
F: 0.801 0.082 0.176
F: 0.882 0.130 0.645
F: 0.043 0.181 0.891
F: 0.440 0.133 0.903
F: 0.457 0.681 0.891
F: 0.090 0.213 0.285
F: 0.560 0.867 0.097
F: 0.060 0.633 0.903
F: 0.618 0.630 0.645
F: 0.410 0.713 0.285
F: 0.957 0.819 0.109
F: 0.070 0.340 0.498
F: 0.531 0.905 0.694
F: 0.940 0.367 0.097
F: 0.543 0.319 0.109
F: 0.301 0.418 0.824
F: 0.031 0.595 0.306
F: 0.199 0.918 0.824
F: 0.469 0.095 0.306
F: 0.969 0.405 0.694
F: 0.118 0.870 0.355
F: 0.590 0.287 0.715
F: 0.570 0.160 0.502
F: 0.699 0.582 0.176
F: 0.930 0.660 0.502
F: 0.910 0.787 0.715


> Look up the density of the first one.

5.53 g/cm³


Copy entry 5 word for word.
A geometry-optimized Rb2RhF6 structure. Source: the Materials Project database, functional meta-GGA r2SCAN.

As for the space group: No. 164. For the formation energy, the calculation gives -235 kJ/mol of atoms. The calculation puts the raw total energy at -10.2954 eV/atom. As for the crystal system: trigonal. The density comes out at 4.47 g/cm³.

Cell: 5.907 5.907 4.767 Å, 90.00 90.00 120.00°
Positions (direct):
Rb: 0.333 0.667 0.708
Rb: 0.667 0.333 0.292
Rh: 0.000 0.000 0.000
F: 0.843 0.157 0.776
F: 0.843 0.686 0.776
F: 0.314 0.157 0.776
F: 0.157 0.843 0.224
F: 0.157 0.314 0.224
F: 0.686 0.843 0.224